No. 1
Compound: CaEr2S4
Source: Materials Project
Functional: PBE
Structure: relaxed

Values from the calculation:
Total energy after the MP2020 corrections (eV per atom): -6.33
Crystal system: orthorhombic
Offset from the most stable computed form (meV per atom): 13.5
Energy relative to the elements (meV per atom): -2374

Lattice parameters (Å, degrees): 6.690 6.690 13.238 90.00 90.00 146.37
Fractional coordinates of all 14 atoms:
Ca (0.114, 0.886, 0.500)
Ca (0.886, 0.114, 0.000)
Er (0.358, 0.642, 0.691)
Er (0.374, 0.626, 0.334)
Er (0.626, 0.374, 0.834)
Er (0.642, 0.358, 0.191)
S (0.014, 0.986, 0.275)
S (0.264, 0.736, 0.878)
S (0.280, 0.720, 0.145)
S (0.460, 0.540, 0.517)
S (0.540, 0.460, 0.017)
S (0.720, 0.280, 0.645)
S (0.736, 0.264, 0.378)
S (0.986, 0.014, 0.775)

=====

No. 2
Compound: HRuN2Cl4
Source: Materials Project
Functional: PBE
Structure: relaxed

Values from the calculation:
Total energy after the MP2020 corrections (eV per atom): -3.91
Size of the total moment (Bohr magnetons per cell): 6.00
Crystal system: monoclinic
Energy relative to the elements (meV per atom): 683

Lattice parameters (Å, degrees): 8.910 8.910 8.087 116.26 116.26 51.81
Fractional coordinates of all 16 atoms:
H (0.226, 0.226, 0.019)
H (0.774, 0.774, 0.981)
Ru (0.115, 0.115, 0.009)
Ru (0.885, 0.885, 0.991)
N (0.000, 0.000, 0.000)
N (0.137, 0.137, 0.534)
N (0.500, 0.500, 0.000)
N (0.863, 0.863, 0.466)
Cl (0.017, 0.606, 0.759)
Cl (0.127, 0.712, 0.218)
Cl (0.288, 0.873, 0.782)
Cl (0.394, 0.983, 0.241)
Cl (0.606, 0.017, 0.759)
Cl (0.712, 0.127, 0.218)
Cl (0.873, 0.288, 0.782)
Cl (0.983, 0.394, 0.241)